Entry from the Materials Project: a geometry-optimized Nd6Si4S17 structure (r²SCAN).

abc: 8.966 9.981 14.262
angles: 82.00 87.01 89.29
Sites, in units of the cell vectors:
Nd1 0.894 0.615 0.184
Nd2 0.018 0.768 0.461
S1 0.892 0.799 0.655
Nd3 0.982 0.232 0.539
Nd4 0.632 0.936 0.324
Si1 0.250 0.500 0.584
S2 0.367 0.283 0.166
S3 0.355 0.531 0.707
Si2 0.749 0.940 0.077
S4 0.340 0.001 0.057
S5 0.517 0.846 0.603
Si3 0.231 0.439 0.099
Nd5 0.668 0.589 0.658
S6 0.679 0.518 0.043
S7 0.958 0.851 0.048
S8 0.985 0.507 0.377
S9 0.185 0.980 0.531
S10 0.108 0.201 0.345
S11 0.483 0.154 0.397
S12 0.304 0.912 0.301
S13 0.991 0.627 0.885
Nd6 0.106 0.385 0.816
S14 0.321 0.482 0.957
S15 0.383 0.212 0.839
S16 0.660 0.999 0.943
S17 0.633 0.717 0.834
Nd7 0.552 0.261 0.998
S18 0.307 0.633 0.461
Nd8 0.085 0.081 0.166
S19 0.743 0.115 0.148
Si4 0.276 0.058 0.394
Si5 0.251 0.060 0.923
Nd9 0.368 0.064 0.676
Si6 0.724 0.942 0.606
S20 0.815 0.020 0.469
Nd10 0.332 0.411 0.342
S21 0.297 0.308 0.541
S22 0.703 0.692 0.459
S23 0.015 0.493 0.623
Nd11 0.448 0.739 0.002
S24 0.645 0.469 0.293
S25 0.042 0.149 0.952
Si7 0.750 0.500 0.416
Nd12 0.915 0.919 0.834
S26 0.933 0.857 0.279
S27 0.617 0.788 0.161
S28 0.257 0.885 0.852
S29 0.696 0.088 0.699
S30 0.248 0.614 0.168
S31 0.693 0.367 0.539
S32 0.752 0.386 0.832
S33 0.067 0.143 0.721
Si8 0.769 0.561 0.901
S34 0.009 0.373 0.115

Properties
The value obtained for the formation energy is -1690 meV/atom. As for the space group: P-1. Its magnetic moment is 0.0 μB/f.u.